Here is an optimized crystal structure of Mg6AlSi from the Materials Project database. Energies are from GGA-PBE.

The structure in POSCAR format:
```
Mg6AlSi
1.0
-2.756 4.170 -0.795
-3.906 -3.258 -3.552
-5.794 -2.226 8.413
Mg Al Si
12 2 2
Direct
0.500 0.250 0.584 Mg
0.500 0.750 0.584 Mg
0.000 0.249 0.414 Mg
0.000 0.751 0.414 Mg
0.000 0.000 0.669 Mg
0.000 0.000 0.171 Mg
0.500 0.750 0.084 Mg
0.500 0.250 0.084 Mg
0.000 0.749 0.914 Mg
0.000 0.251 0.914 Mg
0.000 0.500 0.169 Mg
0.000 0.500 0.671 Mg
0.500 0.000 0.832 Al
0.500 0.500 0.332 Al
0.500 0.000 0.333 Si
0.500 0.500 0.833 Si
```

Values from the calculation:
ΔE to the lowest computed polymorph, meV/atom: 0
Energy of formation, meV/atom: 66
Electronic total energy, eV/cell: -36.63
Magnetization, μB per formula unit: 0.00
Calculated volume, Å³ per atom: 20.52